## P
{
  "formula": "Li3Fe2Co2O8",
  "functional": "PBE+U",
  "state": "relaxed",
  "cell": [[5.0863, -2.9749, 0.0000], [5.0863, 2.9749, 0.0000], [-3.3723, 0.0000, 4.8075]],
  "species": ["Li", "Li", "Li", "Fe", "Fe", "Co", "Co", "O", "O", "O", "O", "O", "O", "O", "O"],
  "fractional_positions": [[0.0000, 0.0000, 0.0000], [0.0000, 0.5000, 0.0000], [0.5000, 0.0000, 0.0000], [0.0000, 0.5000, 0.5000], [0.5000, 0.0000, 0.5000], [0.5000, 0.5000, 0.0000], [0.5000, 0.5000, 0.5000], [0.2545, 0.2545, 0.2684], [0.2707, 0.2707, 0.7620], [0.2768, 0.7152, 0.7572], [0.2848, 0.7232, 0.2428], [0.7152, 0.2768, 0.7572], [0.7232, 0.2848, 0.2428], [0.7293, 0.7293, 0.2380], [0.7455, 0.7455, 0.7316]],
  "mass_density_kg_m3": 4319,
  "magnetic_moment_mub_per_fu": 11.0,
  "vol_a3_per_cell": 145.5
}

## Q
{
  "formula": "Li3Fe2Co2O8",
  "functional": "PBE+U",
  "state": "relaxed",
  "cell": [[5.7277, 0.0000, 0.0000], [2.8608, 4.9912, 0.0000], [0.0438, 3.2552, 4.7634]],
  "species": ["Li", "Li", "Li", "Fe", "Fe", "Co", "Co", "O", "O", "O", "O", "O", "O", "O", "O"],
  "fractional_positions": [[0.0000, 0.0000, 0.0000], [0.0000, 0.0000, 0.5000], [0.5000, 0.5000, 0.0000], [0.0000, 0.5000, 0.5000], [0.5000, 0.0000, 0.0000], [0.5000, 0.0000, 0.5000], [0.5000, 0.5000, 0.5000], [0.2512, 0.0229, 0.7309], [0.2526, 0.4932, 0.7254], [0.2695, 0.4704, 0.2897], [0.2836, 0.9651, 0.2742], [0.7164, 0.0349, 0.7258], [0.7305, 0.5296, 0.7103], [0.7474, 0.5068, 0.2746], [0.7488, 0.9771, 0.2691]],
  "mass_density_kg_m3": 4614,
  "magnetic_moment_mub_per_fu": 9.0,
  "vol_a3_per_cell": 136.2
}

Stability order, top to bottom: P, Q

## P
{
  "formula": "Li5Fe2Co3O10",
  "functional": "PBE+U",
  "state": "relaxed",
  "cell": [[5.1570, 0.0000, 0.0000], [-0.8138, 5.1014, 0.0000], [-2.4628, -2.2892, 7.0186]],
  "species": ["Li", "Li", "Li", "Li", "Li", "Fe", "Fe", "Co", "Co", "Co", "O", "O", "O", "O", "O", "O", "O", "O", "O", "O"],
  "fractional_positions": [[0.0000, 0.0000, 0.0000], [0.2038, 0.1014, 0.7118], [0.4198, 0.7089, 0.9125], [0.5802, 0.2911, 0.0875], [0.7962, 0.8986, 0.2882], [0.1925, 0.5988, 0.1916], [0.8075, 0.4012, 0.8084], [0.0000, 0.5000, 0.5000], [0.3992, 0.1927, 0.3904], [0.6008, 0.8073, 0.6096], [0.0143, 0.2737, 0.2698], [0.1862, 0.3570, 0.9521], [0.2121, 0.8424, 0.4504], [0.3973, 0.9584, 0.1671], [0.4077, 0.4473, 0.6400], [0.5923, 0.5527, 0.3600], [0.6027, 0.0416, 0.8329], [0.7879, 0.1576, 0.5496], [0.8138, 0.6430, 0.0479], [0.9857, 0.7263, 0.7302]],
  "mass_density_kg_m3": 4345,
  "magnetic_moment_mub_per_fu": 12.0,
  "vol_a3_per_cell": 184.6
}

## Q
{
  "formula": "Li5Fe2Co3O10",
  "functional": "PBE+U",
  "state": "relaxed",
  "cell": [[5.0463, 0.0000, 0.0000], [0.0000, 2.8744, 0.0000], [-1.8112, 0.0000, 23.4767]],
  "species": ["Li", "Li", "Li", "Li", "Li", "Li", "Li", "Li", "Li", "Li", "Fe", "Fe", "Fe", "Fe", "Co", "Co", "Co", "Co", "Co", "Co", "O", "O", "O", "O", "O", "O", "O", "O", "O", "O", "O", "O", "O", "O", "O", "O", "O", "O", "O", "O"],
  "fractional_positions": [[0.0000, 0.0000, 0.0000], [0.9999, 0.5000, 0.4991], [0.2000, 0.5000, 0.1006], [0.2018, 0.0000, 0.5985], [0.3981, 0.0000, 0.2015], [0.4007, 0.5000, 0.6990], [0.5992, 0.5000, 0.3006], [0.6012, 0.0000, 0.7992], [0.8001, 0.0000, 0.3996], [0.8006, 0.5000, 0.8993], [0.2940, 0.0000, 0.8961], [0.5004, 0.5000, 0.0002], [0.7063, 0.0000, 0.1043], [0.8986, 0.0000, 0.6976], [0.0963, 0.5000, 0.7965], [0.1009, 0.0000, 0.3016], [0.3006, 0.5000, 0.4001], [0.5000, 0.0000, 0.4992], [0.6984, 0.5000, 0.5981], [0.9050, 0.5000, 0.2037], [0.0210, 0.5000, 0.6494], [0.0366, 0.0000, 0.1572], [0.1607, 0.5000, 0.9475], [0.1806, 0.0000, 0.4475], [0.2209, 0.0000, 0.7501], [0.2206, 0.5000, 0.2546], [0.3643, 0.0000, 0.0509], [0.3803, 0.5000, 0.5466], [0.4205, 0.0000, 0.3526], [0.4278, 0.5000, 0.8461], [0.5724, 0.5000, 0.1543], [0.5751, 0.0000, 0.6455], [0.6197, 0.5000, 0.4517], [0.6365, 0.0000, 0.9494], [0.7780, 0.5000, 0.7458], [0.7828, 0.0000, 0.2502], [0.8188, 0.0000, 0.5509], [0.8396, 0.5000, 0.0528], [0.9649, 0.0000, 0.8429], [0.9802, 0.5000, 0.3487]],
  "mass_density_kg_m3": 4712,
  "magnetic_moment_mub_per_fu": 10.0,
  "vol_a3_per_cell": 340.5
}

Stability order, top to bottom: Q, P

## P
{
  "formula": "Li10FeCo9O20",
  "functional": "PBE+U",
  "state": "relaxed",
  "cell": [[5.0064, 0.0000, 0.0000], [2.4408, 7.2096, 0.0000], [0.8753, 1.4643, 9.6618]],
  "species": ["Li", "Li", "Li", "Li", "Li", "Li", "Li", "Li", "Li", "Li", "Fe", "Co", "Co", "Co", "Co", "Co", "Co", "Co", "Co", "Co", "O", "O", "O", "O", "O", "O", "O", "O", "O", "O", "O", "O", "O", "O", "O", "O", "O", "O", "O", "O"],
  "fractional_positions": [[0.0000, 0.0000, 0.0000], [0.0907, 0.3020, 0.5061], [0.1983, 0.6059, 0.0004], [0.2965, 0.9002, 0.5031], [0.4031, 0.2049, 0.0006], [0.4964, 0.5001, 0.5038], [0.5995, 0.8019, 0.0015], [0.7022, 0.1028, 0.5071], [0.8043, 0.3989, 0.9982], [0.9068, 0.7033, 0.5062], [0.3487, 0.0535, 0.7526], [0.0505, 0.1499, 0.2530], [0.1510, 0.4523, 0.7529], [0.2537, 0.7514, 0.2517], [0.4479, 0.3561, 0.2550], [0.5503, 0.6516, 0.7523], [0.6515, 0.9504, 0.2510], [0.7510, 0.2506, 0.7530], [0.8537, 0.5490, 0.2533], [0.9483, 0.8523, 0.7526], [0.0196, 0.0742, 0.6453], [0.0728, 0.2323, 0.8598], [0.1101, 0.3792, 0.1344], [0.1720, 0.5400, 0.3684], [0.2146, 0.6764, 0.6421], [0.2650, 0.8350, 0.8626], [0.3253, 0.9686, 0.1360], [0.3694, 0.1342, 0.3695], [0.4250, 0.2770, 0.6466], [0.4773, 0.4236, 0.8624], [0.5129, 0.5759, 0.1381], [0.5716, 0.7294, 0.3652], [0.6254, 0.8792, 0.6407], [0.6788, 0.0285, 0.8603], [0.7236, 0.1737, 0.1361], [0.7728, 0.3261, 0.3738], [0.8350, 0.4666, 0.6437], [0.8843, 0.6286, 0.8634], [0.9429, 0.7739, 0.1402], [0.9919, 0.9202, 0.3645]],
  "mass_density_kg_m3": 4646,
  "magnetic_moment_mub_per_fu": 5.0,
  "vol_a3_per_cell": 348.7
}

## Q
{
  "formula": "Li10FeCo9O20",
  "functional": "PBE+U",
  "state": "relaxed",
  "cell": [[5.0506, 0.0000, 0.0000], [2.4814, 7.2861, 0.0000], [0.8255, 1.4668, 9.7023]],
  "species": ["Li", "Li", "Li", "Li", "Li", "Li", "Li", "Li", "Li", "Li", "Fe", "Co", "Co", "Co", "Co", "Co", "Co", "Co", "Co", "Co", "O", "O", "O", "O", "O", "O", "O", "O", "O", "O", "O", "O", "O", "O", "O", "O", "O", "O", "O", "O"],
  "fractional_positions": [[0.0531, 0.1486, 0.2490], [0.1490, 0.4504, 0.7511], [0.2445, 0.7509, 0.2485], [0.3424, 0.0501, 0.7519], [0.4437, 0.3519, 0.2491], [0.5563, 0.6481, 0.7509], [0.6576, 0.9499, 0.2481], [0.7555, 0.2491, 0.7515], [0.8510, 0.5496, 0.2489], [0.9469, 0.8514, 0.7510], [0.5000, 0.5000, 0.5000], [0.0000, 0.0000, 0.0000], [0.0996, 0.3000, 0.4993], [0.1959, 0.6034, 0.0002], [0.3016, 0.8999, 0.4998], [0.4010, 0.2000, 0.9990], [0.5990, 0.8000, 0.0010], [0.6984, 0.1001, 0.5002], [0.8041, 0.3966, 0.9998], [0.9004, 0.7000, 0.5007], [0.0286, 0.0747, 0.6164], [0.0727, 0.2142, 0.8876], [0.1170, 0.3729, 0.1121], [0.1628, 0.5240, 0.3802], [0.2289, 0.6732, 0.6137], [0.2610, 0.8303, 0.8875], [0.3161, 0.9795, 0.1114], [0.3755, 0.1215, 0.3816], [0.4238, 0.2801, 0.6134], [0.4908, 0.4179, 0.8890], [0.5092, 0.5821, 0.1110], [0.5762, 0.7199, 0.3866], [0.6245, 0.8785, 0.6184], [0.6839, 0.0205, 0.8886], [0.7390, 0.1697, 0.1125], [0.7711, 0.3268, 0.3863], [0.8372, 0.4760, 0.6198], [0.8830, 0.6271, 0.8879], [0.9273, 0.7858, 0.1124], [0.9714, 0.9253, 0.3836]],
  "mass_density_kg_m3": 4538,
  "magnetic_moment_mub_per_fu": 5.0,
  "vol_a3_per_cell": 357.0
}

Stability order, top to bottom: P, Q